Computed, not measured: an optimized crystal structure of Dy6GaNi2 at the r2SCAN level of DFT.

The structure belongs to space group Immm (No. 71); the cell edges are 9.216, 9.594 and 9.863 Å and the angles 90.00°, 90.00° and 90.00°. The inequivalent atoms are Dy at (0.000, 0.196, 0.233), Dy at (0.193, 0.500, 0.172), Dy at (0.213, 0.321, 0.500), Ga at (0.000, 0.000, 0.000), Ga at (0.000, 0.000, 0.500), Ni at (0.000, 0.351, 0.000) and Ni at (0.000, 0.500, 0.378).

The crystal system is orthorhombic. For the formation energy, the calculation gives -0.383 eV per atom. As for the total DFT energy (no corrections): -922.97 eV per cell. For the theoretical density, the calculation gives 8.85 g cm⁻³. Its magnetic moment is 0.00 Bohr magnetons per cell.